# PBE-GGA BaCeO3, optimized geometry
data_BaCeO3
_chemical_formula_sum 'Ba4 Ce4 O12'
_cell_length_a 6.274
_cell_length_b 8.852
_cell_length_c 6.323
_cell_angle_alpha 90.00
_cell_angle_beta 90.00
_cell_angle_gamma 90.00
_space_group_name_H-M_alt 'I m m a'
_space_group_IT_number 74
_space_group_name_Hall '-I 2b 2'
loop_
_atom_site_label
_atom_site_fract_x
_atom_site_fract_y
_atom_site_fract_z
_atom_site_occupancy
Ba1 0.000 0.250 0.010 1
Ce1 0.000 0.000 0.500 1
O1 0.000 0.250 0.581 1
O2 0.250 0.046 0.250 1
# **Calculated formation energy**: -3589 meV per atom